Entry 1:
VASP calculation (PBE+U) on a geometry-optimized Li4Mn3O7 structure.

Results
Energy of formation (eV per atom): -2.14
Energy (eV per atom): -6.420
Theoretical density (g/cm³): 3.91

a b c (Å): 5.075 5.090 10.675
angles (deg): 84.05 79.58 72.71
Sites, in units of the cell vectors:
1 Li 0.000 0.500 0.500
2 Li 0.564 0.497 0.363
3 Li 0.127 0.507 0.224
4 Li 0.724 0.494 0.066
5 Li 0.276 0.506 0.934
6 Li 0.873 0.493 0.776
7 Li 0.436 0.503 0.637
8 Li 0.500 0.000 0.500
9 Mn 0.941 0.985 0.636
10 Mn 0.059 0.015 0.364
11 Mn 0.624 0.015 0.224
12 Mn 0.208 0.004 0.074
13 Mn 0.792 0.996 0.926
14 Mn 0.376 0.985 0.776
15 O 0.706 0.756 0.639
16 O 0.214 0.781 0.503
17 O 0.821 0.780 0.350
18 O 0.354 0.797 0.228
19 O 0.970 0.768 0.063
20 O 0.544 0.768 0.922
21 O 0.126 0.757 0.773
22 O 0.294 0.244 0.361
23 O 0.874 0.243 0.227
24 O 0.456 0.232 0.078
25 O 0.030 0.232 0.937
26 O 0.646 0.203 0.772
27 O 0.179 0.220 0.650
28 O 0.786 0.219 0.497

***

Entry 2:
VASP calculation (PBE+U) on a geometry-optimized Li4Mn3O7 structure.

Results
Energy of formation (eV per atom): -2.14
Energy (eV per atom): -6.422
Theoretical density (g/cm³): 3.87

a b c (Å): 6.002 6.550 7.775
angles (deg): 65.97 70.87 75.28
Sites, in units of the cell vectors:
1 Li 0.500 0.500 0.000
2 Li 0.803 0.084 0.125
3 Li 0.068 0.639 0.273
4 Li 0.357 0.212 0.429
5 Li 0.643 0.788 0.571
6 Li 0.932 0.361 0.727
7 Li 0.197 0.916 0.875
8 Li 0.000 0.500 0.000
9 Mn 0.724 0.931 0.857
10 Mn 0.276 0.069 0.143
11 Mn 0.579 0.640 0.279
12 Mn 0.863 0.218 0.423
13 Mn 0.137 0.782 0.577
14 Mn 0.421 0.360 0.721
15 O 0.849 0.673 0.768
16 O 0.122 0.203 0.937
17 O 0.395 0.782 0.084
18 O 0.675 0.352 0.234
19 O 0.956 0.933 0.378
20 O 0.241 0.506 0.523
21 O 0.573 0.096 0.632
22 O 0.151 0.327 0.232
23 O 0.427 0.904 0.368
24 O 0.759 0.494 0.477
25 O 0.044 0.067 0.622
26 O 0.325 0.648 0.766
27 O 0.605 0.218 0.916
28 O 0.878 0.797 0.063

***

Question: What is the energy in the second record?
Answer: -6.422 eV per atom

***

Question: Which value of theoretical density does entry 1 give?
Answer: 3.91 g/cm³